A relaxed structure of ZnH20S2N2O14, computed with PBE-GGA.

Computed properties:
electronic total energy = -5.22 eV/atom
relative energy among the computed polymorphs = 0 meV per atom
total magnetic moment = 0.00 μB/cell

a b c (Å): 6.2829 12.5962 9.2668
angles (deg): 90.00 106.64 90.00
Last column: nearest neighbours and their distance in Å.
Space group P2_1/c (No. 14)
Asymmetric unit:
Zn (0.0000, 0.0000, 0.0000)  6 O 2.11-2.13
H (0.0110, 0.1834, 0.8587)  1 O 0.99
H (0.0553, 0.5972, 0.7701)  1 O 1.00
H (0.0899, 0.1252, 0.2458)  1 O 0.99
H (0.1967, 0.1661, 0.5604)  1 N 1.04
H (0.3199, 0.0918, 0.2155)  1 O 0.99
H (0.3287, 0.6452, 0.5322)  1 O 1.00
H (0.3434, 0.5601, 0.4106)  1 O 0.99
H (0.3612, 0.0697, 0.6641)  1 N 1.05
H (0.3931, 0.1967, 0.7261)  1 N 1.03
H (0.4659, 0.1638, 0.5710)  1 N 1.03
S (0.2604, 0.6378, 0.0929)  4 O 1.48-1.50
N (0.3537, 0.1494, 0.6312)  4 H 1.03-1.05
O (0.0414, 0.1095, 0.8343)  2 H 0.99-1.00
O (0.0480, 0.6782, 0.1174)  1 S 1.50
O (0.1633, 0.1117, 0.1665)  2 H 0.99
O (0.2146, 0.5774, 0.9506)  1 S 1.48
O (0.3090, 0.5682, 0.5076)  2 H 0.99-1.00
O (0.3787, 0.5671, 0.2214)  1 S 1.50
O (0.4106, 0.7300, 0.0889)  1 S 1.50

A relaxed structure of Li2CuO2, computed with PBE-GGA.

Computed properties:
electronic total energy = -4.50 eV/atom
relative energy among the computed polymorphs = 455 meV per atom
total magnetic moment = 0.11 μB/cell

a b c (Å): 3.9846 3.9846 7.2531
angles (deg): 90.00 90.00 90.00
Last column: nearest neighbours and their distance in Å.
Space group I4/mmm (No. 139)
Asymmetric unit:
Li (0.0000, 0.5000, 0.2500)  2 O 1.81
Cu (0.0000, 0.0000, 0.0000)  4 O 1.99
O (0.0000, 0.5000, 0.0000)  2 Li 1.81, 2 Cu 1.99